The following is a PBE-GGA calculation of a relaxed TmB2C2 crystal, from the Materials Project database.

Unit cell a=5.3309 b=5.3309 c=3.4822 alpha=90.00 beta=90.00 gamma=90.00
Atoms (fractional coordinates):
B  0.6363  0.8637  0.5000
B  0.1363  0.6363  0.5000
Tm  0.5000  0.5000  0.0000
C  0.8377  0.6623  0.5000
C  0.6623  0.1623  0.5000
C  0.1623  0.3377  0.5000
B  0.3637  0.1363  0.5000
Tm  0.0000  0.0000  0.0000
B  0.8637  0.3637  0.5000
C  0.3377  0.8377  0.5000

Properties
DFT formation energy = -0.438 eV per atom
Symmetry = No. 127

The following is a PBE-GGA calculation of a relaxed CaSmIn2 crystal, from the Materials Project database.

Unit cell a=5.5917 b=5.5917 c=5.5917 alpha=60.00 beta=60.00 gamma=60.00
Atoms (fractional coordinates):
In  0.2500  0.2500  0.2500
Ca  0.5000  0.5000  0.5000
Sm  0.0000  0.0000  0.0000
In  0.7500  0.7500  0.7500

Properties
DFT formation energy = -0.432 eV per atom
Symmetry = No. 225

The following is a PBE-GGA calculation of a relaxed Rb4Cu5Cl9 crystal, from the Materials Project database.

Unit cell a=8.8369 b=15.6227 c=15.8684 alpha=72.07 beta=90.00 gamma=90.00
Atoms (fractional coordinates):
Rb  0.3092  0.9979  0.0005
Cl  0.7472  0.2793  0.0704
Rb  0.9550  0.4826  0.6182
Rb  0.0450  0.4826  0.1182
Cu  0.7440  0.2419  0.5866
Cu  0.3566  0.9822  0.7363
Cl  0.7216  0.8310  0.6903
Cl  0.0321  0.6560  0.7035
Cl  0.3161  0.0904  0.4542
Cu  0.2053  0.0246  0.5855
Cl  0.1919  0.6388  0.4248
Rb  0.5374  0.2495  0.2646
Rb  0.1648  0.9820  0.3013
Cl  0.2528  0.2793  0.5704
Rb  0.6908  0.9979  0.5005
Cl  0.1215  0.4793  0.9178
Rb  0.8150  0.7324  0.3851
Cl  0.6468  0.6133  0.5712
Cl  0.1647  0.1085  0.8092
Cu  0.2268  0.4825  0.7965
Rb  0.4626  0.2495  0.7646
Cl  0.5532  0.6364  0.2868
Cl  0.2784  0.8310  0.1903
Rb  0.4733  0.4697  0.4784
Cl  0.3532  0.6133  0.0712
Cl  0.3684  0.2517  0.9643
Cu  0.3717  0.5753  0.2183
Cl  0.8353  0.1085  0.3092
Cl  0.4468  0.6364  0.7868
Cl  0.9966  0.8550  0.9874
Cl  0.2548  0.4497  0.3110
Cl  0.8135  0.8950  0.1944
Rb  0.3445  0.7521  0.5692
Cl  0.3119  0.4541  0.6831
Cu  0.7947  0.0246  0.0855
Cl  0.6881  0.4541  0.1831
Cu  0.6790  0.7003  0.7972
Rb  0.8352  0.9820  0.8013
Cu  0.1510  0.1435  0.6628
Cu  0.1181  0.5728  0.3155
Cl  0.1783  0.2722  0.2014
Rb  0.1850  0.7324  0.8851
Cu  0.3210  0.7003  0.2972
Cu  0.6434  0.9822  0.2363
Cu  0.6283  0.5753  0.7183
Cu  0.3909  0.1594  0.5599
Cl  0.0436  0.0994  0.0887
Cl  0.6316  0.2517  0.4643
Cl  0.9564  0.0994  0.5887
Cl  0.4605  0.8924  0.8739
Cu  0.6091  0.1594  0.0599
Rb  0.5267  0.4697  0.9784
Cu  0.7732  0.4825  0.2965
Cl  0.8785  0.4793  0.4178
Rb  0.9728  0.2607  0.9013
Cl  0.1865  0.8950  0.6944
Cl  0.5421  0.0815  0.6757
Cl  0.7452  0.4497  0.8110
Cu  0.8490  0.1435  0.1628
Cl  0.6839  0.0904  0.9542
Cu  0.0848  0.7875  0.1220
Cu  0.8819  0.5728  0.8155
Rb  0.6555  0.7521  0.0692
Cl  0.8217  0.2722  0.7014
Cl  0.8081  0.6388  0.9248
Cl  0.5395  0.8924  0.3739
Rb  0.0272  0.2607  0.4013
Cl  0.4579  0.0815  0.1757
Cl  0.0034  0.8550  0.4874
Cu  0.9152  0.7875  0.6220
Cl  0.9679  0.6560  0.2035
Cu  0.2560  0.2419  0.0866

Properties
E above lowest polymorph = 0 meV/atom
DFT formation energy = -1.419 eV per atom
Symmetry = No. 7

The following is a PBE-GGA calculation of a relaxed Li3CuF6 crystal, from the Materials Project database.

Unit cell a=5.2045 b=5.0364 c=9.0445 alpha=56.66 beta=90.00 gamma=90.00
Atoms (fractional coordinates):
Cu  0.0000  0.0000  0.0000
F  0.8095  0.7501  0.5791
Li  0.0464  0.7342  0.7574
F  0.8210  0.3810  0.9374
F  0.4264  0.9020  0.7358
F  0.1790  0.6190  0.0626
F  0.1905  0.2499  0.4209
Li  0.5000  0.5000  0.0000
F  0.0736  0.9020  0.2358
Li  0.9536  0.2658  0.2426
Li  0.5464  0.2658  0.7426
F  0.6905  0.7501  0.0791
Li  0.4536  0.7342  0.2574
F  0.9264  0.0980  0.7642
F  0.5736  0.0980  0.2642
F  0.3095  0.2499  0.9209
Cu  0.5000  0.0000  0.5000
F  0.6790  0.3810  0.4374
F  0.3210  0.6190  0.5626
Li  0.0000  0.5000  0.5000

Properties
E above lowest polymorph = 21 meV/atom
DFT formation energy = -2.587 eV per atom
Symmetry = No. 14

The following is a PBE-GGA calculation of a relaxed CsPO4 crystal, from the Materials Project database.

Unit cell a=9.3453 b=9.3453 c=5.8655 alpha=90.00 beta=90.00 gamma=144.48
Atoms (fractional coordinates):
O  0.3783  0.5916  0.7843
P  0.4813  0.2197  0.0000
Cs  0.8103  0.0664  0.5000
O  0.0972  0.5326  0.0000
O  0.3783  0.5916  0.2157
O  0.5916  0.3783  0.7843
O  0.9893  0.1952  0.0000
O  0.1952  0.9893  0.0000
O  0.5916  0.3783  0.2157
P  0.2197  0.4813  0.0000
O  0.5326  0.0972  0.0000
Cs  0.0664  0.8103  0.5000

Properties
E above lowest polymorph = 41 meV/atom
DFT formation energy = -1.996 eV per atom
Symmetry = No. 38

The following is a PBE-GGA calculation of a relaxed Mg2InMo3S8 crystal, from the Materials Project database.

Unit cell a=7.5256 b=7.5250 c=7.5251 alpha=59.62 beta=59.60 gamma=59.55
Atoms (fractional coordinates):
S  0.7209  0.2529  0.2531
In  0.5000  0.5000  0.5000
Mg  0.8752  0.8752  0.8753
S  0.7471  0.7471  0.2788
Mo  0.0001  0.4999  0.5000
Mo  0.5001  0.4998  0.0002
S  0.7473  0.2791  0.7469
S  0.2612  0.2612  0.2612
S  0.7388  0.7387  0.7389
Mo  0.5000  0.9999  0.5000
S  0.2528  0.7210  0.2530
Mg  0.1248  0.1248  0.1248
S  0.2529  0.2531  0.7210
S  0.2788  0.7473  0.7470

Properties
DFT formation energy = -0.925 eV per atom
Symmetry = No. 12

The following is a PBE-GGA calculation of a relaxed Ga7Sb7Te8Cl26 crystal, from the Materials Project database.

Unit cell a=11.0598 b=16.0436 c=19.3991 alpha=111.91 beta=96.16 gamma=88.61
Atoms (fractional coordinates):
Te  0.5415  0.0896  0.3264
Ga  0.9185  0.6572  0.4523
Cl  0.0727  0.6074  0.5050
Ga  0.8109  0.6366  0.7599
Ga  0.2123  0.5225  0.1288
Cl  0.4526  0.4069  0.6680
Cl  0.2495  0.3767  0.4981
Ga  0.8018  0.9733  0.8409
Cl  0.6176  0.0962  0.6390
Cl  0.9840  0.9730  0.9003
Cl  0.5358  0.2435  0.0840
Cl  0.4027  0.4876  0.1336
Te  0.4868  0.1521  0.8610
Cl  0.3808  0.6250  0.0129
Cl  0.1731  0.7992  0.9858
Cl  0.7842  0.4022  0.1671
Cl  0.8807  0.5851  0.3323
Cl  0.4347  0.1925  0.5117
Cl  0.6603  0.9714  0.9128
Ga  0.7777  0.1374  0.5996
Cl  0.8884  0.5687  0.9746
Cl  0.7760  0.2802  0.6214
Sb  0.8811  0.1903  0.2115
Ga  0.1891  0.3634  0.2401
Sb  0.4841  0.8244  0.7816
Te  0.6878  0.0561  0.1268
Sb  0.1088  0.2712  0.7638
Ga  0.2223  0.8626  0.4004
Sb  0.8912  0.7288  0.2362
Sb  0.5159  0.1756  0.2184
Te  0.7074  0.3082  0.3056
Cl  0.2158  0.5978  0.8329
Te  0.2820  0.1677  0.6686
Cl  0.7871  0.0872  0.8058
Sb  0.3176  0.2778  0.9522
Cl  0.3824  0.9038  0.3610
Te  0.7180  0.8323  0.3314
Cl  0.9492  0.1018  0.6542
Te  0.0636  0.8863  0.6786
Cl  0.1364  0.5011  0.2279
Sb  0.2757  0.0377  0.7659
Cl  0.9273  0.3926  0.4950
Cl  0.6279  0.6201  0.7029
Cl  0.8262  0.3360  0.8460
Sb  0.7243  0.9623  0.2341
Cl  0.2247  0.1505  0.2606
Ga  0.7877  0.4775  0.8712
Ga  0.0815  0.3428  0.5477
Cl  0.1738  0.6640  0.1540
Cl  0.3397  0.0286  0.0872
Sb  0.6824  0.7222  0.0478
Cl  0.2250  0.9422  0.5226
Cl  0.7750  0.0578  0.4774
Ga  0.5618  0.6623  0.4525
Te  0.5132  0.8479  0.1390
Cl  0.2240  0.7198  0.3786
Cl  0.0160  0.0270  0.0997
Cl  0.8269  0.2008  0.0142
Te  0.6865  0.6139  0.1386
Cl  0.4642  0.7565  0.9160
Sb  0.1189  0.8097  0.7885
Sb  0.7468  0.2112  0.4075
Ga  0.6984  0.3067  0.0606
Cl  0.0721  0.1981  0.5168
Cl  0.8319  0.7351  0.8732
Cl  0.6192  0.3750  0.9871
Sb  0.2532  0.7888  0.5925
Cl  0.1193  0.4149  0.6677
Cl  0.5474  0.5931  0.3320
Cl  0.1681  0.2649  0.1268
Cl  0.5973  0.5124  0.8664
Cl  0.7505  0.6233  0.5019
Ga  0.4382  0.3377  0.5475
Cl  0.9279  0.8019  0.4832
Cl  0.1116  0.4313  0.0254
Te  0.4585  0.9104  0.6736
Te  0.2926  0.6918  0.6944
Ga  0.3016  0.6933  0.9394
Te  0.1024  0.1799  0.8678
Cl  0.9469  0.6394  0.6866
Sb  0.4828  0.2610  0.7687
Cl  0.2129  0.9128  0.1942
Te  0.3122  0.9439  0.8732
Ga  0.1982  0.0267  0.1591
Sb  0.5172  0.7390  0.2313
Te  0.3135  0.3861  0.8614
Cl  0.0508  0.8982  0.3458
Cl  0.3721  0.3799  0.2971
Cl  0.0531  0.3606  0.3134
Cl  0.7753  0.8495  0.7394
Te  0.8976  0.8201  0.1322
Cl  0.4360  0.6147  0.5095
Cl  0.5640  0.3853  0.4905
Cl  0.5653  0.8075  0.4883
Cl  0.8636  0.4989  0.7721
Te  0.9364  0.1137  0.3214

Properties
DFT formation energy = -1.147 eV per atom
Symmetry = No. 2

The following is a PBE-GGA calculation of a relaxed Sr2NbSnO6 crystal, from the Materials Project database.

Unit cell a=5.8191 b=5.8191 c=5.8191 alpha=60.00 beta=60.00 gamma=60.00
Atoms (fractional coordinates):
O  0.2500  0.7500  0.2500
Sr  0.2500  0.2500  0.2500
O  0.7500  0.2500  0.2500
O  0.2500  0.2500  0.7500
Sr  0.7500  0.7500  0.7500
O  0.7500  0.2500  0.7500
O  0.2500  0.7500  0.7500
O  0.7500  0.7500  0.2500
Nb  0.0000  0.0000  0.0000
Sn  0.5000  0.5000  0.5000

Properties
DFT formation energy = -2.810 eV per atom
Symmetry = No. 225

The following is a PBE-GGA calculation of a relaxed PmZnAu2 crystal, from the Materials Project database.

Unit cell a=4.9321 b=4.9321 c=4.9321 alpha=60.00 beta=60.00 gamma=60.00
Atoms (fractional coordinates):
Pm  0.0000  0.0000  0.0000
Au  0.2500  0.2500  0.2500
Zn  0.5000  0.5000  0.5000
Au  0.7500  0.7500  0.7500

Properties
DFT formation energy = -0.602 eV per atom
Symmetry = No. 225

The following is a PBE-GGA calculation of a relaxed CdAg crystal, from the Materials Project database.

Unit cell a=5.1829 b=5.1829 c=5.1829 alpha=34.28 beta=34.28 gamma=34.28
Atoms (fractional coordinates):
Ag  0.0000  0.0000  0.0000
Cd  0.5000  0.5000  0.5000

Properties
DFT formation energy = -0.019 eV per atom
Symmetry = No. 166

The following is a PBE-GGA calculation of a relaxed Cs2RbGaI6 crystal, from the Materials Project database.

Unit cell a=8.9391 b=8.9391 c=8.9391 alpha=60.00 beta=60.00 gamma=60.00
Atoms (fractional coordinates):
Cs  0.7500  0.7500  0.7500
I  0.2229  0.7771  0.2229
Rb  0.5000  0.5000  0.5000
I  0.7771  0.2229  0.7771
Ga  0.0000  0.0000  0.0000
Cs  0.2500  0.2500  0.2500
I  0.2229  0.7771  0.7771
I  0.7771  0.7771  0.2229
I  0.7771  0.2229  0.2229
I  0.2229  0.2229  0.7771

Properties
DFT formation energy = -1.263 eV per atom
Symmetry = No. 225

The following is a PBE-GGA calculation of a relaxed YHO2 crystal, from the Materials Project database.

Unit cell a=3.5171 b=4.8645 c=5.5098 alpha=90.00 beta=90.00 gamma=90.00
Atoms (fractional coordinates):
O  0.0000  0.9770  0.3574
O  0.5000  0.0230  0.8574
O  0.5000  0.4796  0.1191
Y  0.5000  0.2765  0.4830
O  0.0000  0.5204  0.6191
H  0.0000  0.8047  0.4632
H  0.5000  0.1953  0.9632
Y  0.0000  0.7235  0.9830

Properties
DFT formation energy = -2.958 eV per atom
Symmetry = No. 31
Maximum piezoelectric response = 1.09 C/m2

Question: Look up the DFT formation energy of the tenth one.
Answer: -0.019 eV per atom

Please write out number 4 again, unchanged.
The following is a PBE-GGA calculation of a relaxed Li3CuF6 crystal, from the Materials Project database.

Unit cell a=5.2045 b=5.0364 c=9.0445 alpha=56.66 beta=90.00 gamma=90.00
Atoms (fractional coordinates):
Cu  0.0000  0.0000  0.0000
F  0.8095  0.7501  0.5791
Li  0.0464  0.7342  0.7574
F  0.8210  0.3810  0.9374
F  0.4264  0.9020  0.7358
F  0.1790  0.6190  0.0626
F  0.1905  0.2499  0.4209
Li  0.5000  0.5000  0.0000
F  0.0736  0.9020  0.2358
Li  0.9536  0.2658  0.2426
Li  0.5464  0.2658  0.7426
F  0.6905  0.7501  0.0791
Li  0.4536  0.7342  0.2574
F  0.9264  0.0980  0.7642
F  0.5736  0.0980  0.2642
F  0.3095  0.2499  0.9209
Cu  0.5000  0.0000  0.5000
F  0.6790  0.3810  0.4374
F  0.3210  0.6190  0.5626
Li  0.0000  0.5000  0.5000

Properties
E above lowest polymorph = 21 meV/atom
DFT formation energy = -2.587 eV per atom
Symmetry = No. 14